# CaV2O4

An optimized crystal structure of CaV2O4 (PBE+U, Materials Project).

**Volume**: 88.78 Å³/f.u.
**Polymorph energy (0 for the lowest one)**: 65 meV/atom
**Total energy after the MP2020 corrections**: -354.7 eV per cell
**Energy of formation from the pure elements**: -2.736 eV/atom

Cell: 6.2728 6.2728 15.6310 Å, 90.00 90.00 120.00°
Space group P3m1 (No. 156)
Asymmetric unit:
Ca1 0.0000 0.0000 0.0000 (multiplicity 1)
Ca2 0.0000 0.0000 0.2446 (multiplicity 1)
Ca3 0.0000 0.0000 0.6188 (multiplicity 1)
Ca4 0.3333 0.6667 0.3330 (multiplicity 1)
Ca5 0.3333 0.6667 0.9583 (multiplicity 1)
Ca6 0.6667 0.3333 0.6680 (multiplicity 1)
V1 0.0045 0.5023 0.1249 (multiplicity 3)
V2 0.1626 0.3251 0.7887 (multiplicity 3)
V3 0.3333 0.6667 0.5777 (multiplicity 1)
V4 0.3409 0.1705 0.4531 (multiplicity 3)
V5 0.6667 0.3333 0.2864 (multiplicity 1)
V6 0.6667 0.3333 0.9095 (multiplicity 1)
O1 0.0000 0.0000 0.3918 (multiplicity 1)
O2 0.0000 0.0000 0.8588 (multiplicity 1)
O3 0.0097 0.5048 0.8600 (multiplicity 3)
O4 0.1670 0.3341 0.5257 (multiplicity 3)
O5 0.1821 0.3642 0.0602 (multiplicity 3)
O6 0.2953 0.1476 0.7213 (multiplicity 3)
O7 0.3333 0.6667 0.1943 (multiplicity 1)
O8 0.3333 0.6667 0.7045 (multiplicity 1)
O9 0.3857 0.1928 0.1998 (multiplicity 3)
O10 0.5255 0.0510 0.3763 (multiplicity 3)
O11 0.6667 0.3333 0.0348 (multiplicity 1)
O12 0.6667 0.3333 0.5200 (multiplicity 1)

***

# MnP2O7

An optimized crystal structure of MnP2O7 (PBE+U, Materials Project).

**Volume**: 120.94 Å³/f.u.
**Polymorph energy (0 for the lowest one)**: 34 meV/atom
**Total energy after the MP2020 corrections**: -625.0 eV per cell
**Energy of formation from the pure elements**: -2.349 eV/atom

Cell: 7.7922 15.7731 7.8718 Å, 90.00 90.00 90.00°
Space group Pna2_1 (No. 33)
Asymmetric unit:
Mn1 0.0149 0.1277 0.0000 (multiplicity 4)
Mn2 0.0218 0.3781 0.5013 (multiplicity 4)
P1 0.0960 0.8109 0.1174 (multiplicity 4)
P2 0.0979 0.5648 0.3785 (multiplicity 4)
P3 0.1131 0.3265 0.1163 (multiplicity 4)
P4 0.1268 0.0729 0.3998 (multiplicity 4)
O1 0.0177 0.4291 0.7222 (multiplicity 4)
O2 0.0209 0.4065 0.0326 (multiplicity 4)
O3 0.0224 0.9949 0.4451 (multiplicity 4)
O4 0.0247 0.3164 0.2891 (multiplicity 4)
O5 0.0606 0.1509 0.5135 (multiplicity 4)
O6 0.0729 0.7155 0.1219 (multiplicity 4)
O7 0.0779 0.2487 0.0063 (multiplicity 4)
O8 0.1057 0.8494 0.2949 (multiplicity 4)
O9 0.1237 0.1011 0.2140 (multiplicity 4)
O10 0.1455 0.4722 0.4125 (multiplicity 4)
O11 0.1855 0.5632 0.9526 (multiplicity 4)
O12 0.1963 0.8503 0.6311 (multiplicity 4)
O13 0.2382 0.1180 0.8732 (multiplicity 4)
O14 0.2411 0.3312 0.5235 (multiplicity 4)

***

# BaYMnCuO5

An optimized crystal structure of BaYMnCuO5 (PBE+U, Materials Project).

**Volume**: 120.48 Å³/f.u.
**Polymorph energy (0 for the lowest one)**: 0 meV/atom
**Total energy after the MP2020 corrections**: -276.9 eV per cell
**Energy of formation from the pure elements**: -2.539 eV/atom

Cell: 3.8393 7.8696 15.9502 Å, 90.00 90.00 90.00°
Space group Amm2 (No. 38)
Asymmetric unit:
Ba1 0.0000 0.2499 0.0000 (multiplicity 4)
Y1 0.0000 0.2500 0.2667 (multiplicity 4)
Mn1 0.5000 0.0000 0.1440 (multiplicity 2)
Mn2 0.5000 0.0000 0.6446 (multiplicity 2)
Cu1 0.5000 0.0000 0.3731 (multiplicity 2)
Cu2 0.5000 0.0000 0.8730 (multiplicity 2)
O1 0.0000 0.0000 0.1661 (multiplicity 2)
O2 0.0000 0.0000 0.3479 (multiplicity 2)
O3 0.0000 0.0000 0.6672 (multiplicity 2)
O4 0.0000 0.0000 0.8489 (multiplicity 2)
O5 0.5000 0.0000 0.0229 (multiplicity 2)
O6 0.5000 0.0000 0.5234 (multiplicity 2)
O7 0.5000 0.2494 0.8658 (multiplicity 4)
O8 0.5000 0.2497 0.1868 (multiplicity 4)